No. 1
Crystalline SnO2 at its relaxed geometry. Source: the Materials Project, functional GGA-PBE.

Lattice parameters (Å, degrees): 10.311 11.813 11.973 90.26 94.24 90.95
Space group P1 (No. 1)
Unique sites:
Sn 0.000 0.000 0.000 x1
Sn 0.008 0.472 0.606 x1
Sn 0.036 0.866 0.274 x1
Sn 0.039 0.237 0.425 x1
Sn 0.059 0.207 0.815 x1
Sn 0.081 0.897 0.748 x1
Sn 0.122 0.572 0.343 x1
Sn 0.173 0.355 0.140 x1
Sn 0.235 0.587 0.888 x1
Sn 0.270 0.647 0.623 x1
Sn 0.271 0.859 0.040 x1
Sn 0.300 0.278 0.589 x1
Sn 0.303 0.004 0.507 x1
Sn 0.370 0.353 0.858 x1
Sn 0.404 0.923 0.291 x1
Sn 0.417 0.480 0.366 x1
Sn 0.441 0.834 0.792 x1
Sn 0.454 0.114 0.061 x1
Sn 0.476 0.647 0.137 x1
Sn 0.529 0.222 0.366 x1
Sn 0.545 0.713 0.477 x1
Sn 0.560 0.384 0.124 x1
Sn 0.565 0.064 0.681 x1
Sn 0.613 0.416 0.625 x1
Sn 0.719 0.902 0.152 x1
Sn 0.739 0.823 0.862 x1
Sn 0.753 0.985 0.415 x1
Sn 0.754 0.213 0.948 x1
Sn 0.781 0.481 0.325 x1
Sn 0.795 0.212 0.595 x1
Sn 0.804 0.648 0.075 x1
Sn 0.843 0.187 0.225 x1
Sn 0.871 0.706 0.515 x1
Sn 0.942 0.479 0.829 x1
O 0.035 0.498 0.192 x1
O 0.043 0.197 0.263 x1
O 0.043 0.603 0.911 x1
O 0.065 0.652 0.595 x1
O 0.102 0.916 0.125 x1
O 0.110 0.877 0.921 x1
O 0.129 0.370 0.521 x1
O 0.134 0.721 0.278 x1
O 0.169 0.124 0.946 x1
O 0.183 0.150 0.512 x1
O 0.204 0.947 0.349 x1
O 0.224 0.420 0.945 x1
O 0.229 0.439 0.301 x1
O 0.235 0.256 0.756 x1
O 0.237 0.514 0.726 x1
O 0.262 0.740 0.777 x1
O 0.275 0.583 0.465 x1
O 0.286 0.189 0.983 x1
O 0.310 0.686 0.014 x1
O 0.345 0.005 0.142 x1
O 0.379 0.794 0.180 x1
O 0.386 0.320 0.437 x1
O 0.391 0.926 0.930 x1
O 0.398 0.953 0.674 x1
O 0.406 0.482 0.172 x1
O 0.418 0.142 0.595 x1
O 0.422 0.849 0.445 x1
O 0.430 0.072 0.384 x1
O 0.440 0.361 0.695 x1
O 0.446 0.523 0.890 x1
O 0.451 0.719 0.631 x1
O 0.465 0.237 0.189 x1
O 0.482 0.638 0.323 x1
O 0.506 0.279 0.971 x1
O 0.522 0.529 0.522 x1
O 0.531 0.530 0.993 x1
O 0.580 0.729 0.854 x1
O 0.594 0.391 0.317 x1
O 0.615 0.909 0.293 x1
O 0.621 0.947 0.798 x1
O 0.625 0.274 0.519 x1
O 0.627 0.753 0.093 x1
O 0.633 0.045 0.071 x1
O 0.666 0.432 0.797 x1
O 0.670 0.541 0.173 x1
O 0.687 0.133 0.317 x1
O 0.687 0.194 0.734 x1
O 0.693 0.048 0.560 x1
O 0.711 0.816 0.499 x1
O 0.730 0.609 0.431 x1
O 0.734 0.294 0.115 x1
O 0.752 0.521 0.839 x1
O 0.812 0.406 0.592 x1
O 0.828 0.902 0.999 x1
O 0.837 0.693 0.686 x1
O 0.863 0.780 0.202 x1
O 0.867 0.993 0.262 x1
O 0.870 0.329 0.343 x1
O 0.877 0.803 0.744 x1
O 0.888 0.142 0.469 x1
O 0.896 0.513 0.180 x1
O 0.902 0.131 0.065 x1
O 0.938 0.938 0.492 x1
O 0.947 0.318 0.898 x1
O 0.960 0.541 0.428 x1
O 0.968 0.050 0.832 x1
O 0.978 0.240 0.664 x1
O 0.982 0.831 0.443 x1

=====

No. 2
Crystalline Fe5GeP at its relaxed geometry. Source: the Materials Project, functional GGA-PBE.

Lattice parameters (Å, degrees): 6.767 11.631 12.459 90.00 90.51 90.00
Space group Cm (No. 8)
Unique sites:
Fe 0.000 0.000 0.000 x2
Fe 0.000 0.334 0.842 x4
Fe 0.015 0.000 0.497 x2
Fe 0.136 0.500 0.241 x2
Fe 0.140 0.141 0.832 x4
Fe 0.151 0.500 0.039 x2
Fe 0.157 0.165 0.619 x4
Fe 0.175 0.175 0.042 x4
Fe 0.182 0.500 0.624 x2
Fe 0.196 0.189 0.246 x4
Fe 0.222 0.500 0.833 x2
Fe 0.284 0.000 0.341 x2
Fe 0.316 0.320 0.730 x4
Fe 0.329 0.309 0.519 x4
Fe 0.331 0.000 0.130 x2
Fe 0.341 0.336 0.130 x4
Fe 0.360 0.000 0.539 x2
Fe 0.367 0.000 0.735 x2
Fe 0.372 0.369 0.334 x4
Fe 0.499 0.173 0.363 x4
Ge 0.006 0.000 0.698 x2
Ge 0.009 0.000 0.199 x2
Ge 0.167 0.500 0.435 x2
Ge 0.330 0.327 0.933 x4
Ge 0.342 0.000 0.936 x2
P 0.004 0.334 0.174 x4
P 0.164 0.167 0.432 x4
P 0.496 0.168 0.658 x4

=====

No. 3
Crystalline Hf3Ge2 at its relaxed geometry. Source: the Materials Project, functional GGA-PBE.

Lattice parameters (Å, degrees): 7.165 7.165 3.702 90.00 90.00 90.00
Space group P4/mbm (No. 127)
Unique sites:
Hf 0.000 0.000 0.000 x2
Hf 0.170 0.330 0.500 x4
Ge 0.131 0.631 0.000 x4

=====

| no. | calculated formation energy (eV/atom) | E_tot (eV per atom) |
| --- | --- | --- |
| 1 | -1.326 | -5.853 |
| 2 | -0.167 | -7.651 |
| 3 | -0.694 | -8.518 |